VASP calculation (PBE) on a relaxed Ga2Sn2S5 crystal.

Output
* electronic total energy: -160.05 eV per cell

Structure (POSCAR):
```
Ga2Sn2S5
1.0
-0.700 6.356 0.221
-10.791 -1.120 -1.966
-2.207 -0.678 12.498
Ga Sn S
8 8 20
direct
0.647 0.115 0.768
0.353 0.615 0.232
0.853 0.115 0.268
0.147 0.615 0.732
0.152 0.281 0.818
0.848 0.781 0.182
0.348 0.281 0.318
0.652 0.781 0.682
0.544 0.481 0.539
0.456 0.981 0.461
0.956 0.481 0.039
0.044 0.981 0.961
0.550 0.257 0.018
0.450 0.757 0.982
0.950 0.257 0.518
0.050 0.757 0.482
0.478 0.966 0.672
0.522 0.466 0.328
0.022 0.966 0.172
0.978 0.466 0.828
0.506 0.802 0.226
0.494 0.302 0.774
0.994 0.802 0.726
0.006 0.302 0.274
0.143 0.538 0.562
0.857 0.038 0.438
0.357 0.538 0.062
0.643 0.038 0.938
0.640 0.722 0.507
0.360 0.222 0.493
0.860 0.722 0.007
0.140 0.222 0.993
0.989 0.139 0.712
0.011 0.639 0.288
0.511 0.139 0.212
0.489 0.639 0.788
```

=====

VASP calculation (PBE) on a relaxed Tm2GeO5 crystal.

Output
* electronic total energy: -248.19 eV per cell

Structure (POSCAR):
```
Tm2GeO5
1.0
-2.276 1.251 -2.579
-7.998 -2.120 6.028
0.611 10.113 4.368
Tm Ge O
8 4 20
direct
0.250 0.109 0.776
0.250 0.135 0.440
0.750 0.365 0.940
0.750 0.391 0.276
0.250 0.609 0.724
0.250 0.635 0.060
0.750 0.865 0.560
0.750 0.891 0.224
0.250 0.177 0.117
0.750 0.323 0.617
0.250 0.677 0.383
0.750 0.823 0.883
0.250 0.991 0.604
0.250 0.010 0.158
0.750 0.239 0.114
0.750 0.240 0.767
0.250 0.222 0.957
0.750 0.278 0.457
0.250 0.260 0.267
0.250 0.261 0.614
0.750 0.490 0.658
0.750 0.509 0.104
0.250 0.491 0.896
0.250 0.510 0.342
0.750 0.739 0.386
0.750 0.740 0.733
0.250 0.722 0.543
0.750 0.778 0.043
0.250 0.760 0.233
0.250 0.761 0.886
0.750 0.990 0.842
0.750 0.009 0.396
```

=====

VASP calculation (PBE) on a relaxed Na5Zn3GeP3S3O24 crystal.

Output
* electronic total energy: -695.22 eV per cell

Structure (POSCAR):
```
Na5Zn3GeP3S3O24
1.0
8.843 0.009 0.040
-4.414 7.630 -0.048
0.104 -0.083 22.075
Na Zn Ge P S O
15 9 3 9 9 72
direct
0.001 0.635 0.255
0.298 0.339 0.587
0.033 0.698 0.583
0.669 0.960 0.581
0.667 0.702 0.082
0.037 0.337 0.085
0.977 0.679 0.912
0.326 0.296 0.910
0.698 0.676 0.417
0.001 0.005 0.496
0.000 0.996 0.996
0.660 0.323 0.825
0.655 0.307 0.334
0.337 0.678 0.171
0.332 0.656 0.669
0.000 0.005 0.353
0.000 0.008 0.846
0.999 0.012 0.656
0.005 0.992 0.154
0.665 0.343 0.686
0.666 0.331 0.186
0.328 0.672 0.012
0.331 0.667 0.510
0.336 0.678 0.325
0.672 0.335 0.977
0.689 0.337 0.481
0.336 0.662 0.818
0.301 0.305 0.753
0.957 0.334 0.585
0.665 0.621 0.582
0.957 0.624 0.083
0.625 0.667 0.920
0.038 0.373 0.919
0.342 0.961 0.917
0.631 0.972 0.420
0.033 0.664 0.418
0.298 0.002 0.250
0.697 0.702 0.249
0.003 0.295 0.249
0.009 0.704 0.753
0.693 0.992 0.752
0.380 0.047 0.583
0.663 0.044 0.082
0.376 0.329 0.082
0.338 0.367 0.418
0.212 0.024 0.304
0.811 0.788 0.303
0.982 0.186 0.301
0.215 0.199 0.810
0.986 0.787 0.808
0.801 0.013 0.805
0.763 0.959 0.695
0.193 0.230 0.694
0.034 0.807 0.697
0.776 0.803 0.192
0.020 0.216 0.190
0.192 0.971 0.194
0.872 0.365 0.639
0.486 0.123 0.637
0.627 0.503 0.636
0.873 0.510 0.139
0.640 0.124 0.137
0.486 0.355 0.135
0.456 0.303 0.024
0.833 0.532 0.024
0.695 0.159 0.026
0.463 0.160 0.528
0.698 0.534 0.523
0.837 0.295 0.526
0.550 0.689 0.979
0.143 0.444 0.977
0.304 0.853 0.974
0.556 0.861 0.477
0.313 0.443 0.475
0.136 0.687 0.476
0.106 0.629 0.360
0.520 0.893 0.363
0.372 0.483 0.366
0.127 0.505 0.865
0.375 0.873 0.860
0.497 0.623 0.865
0.001 0.820 0.412
0.815 0.994 0.413
0.186 0.191 0.411
0.014 0.192 0.909
0.185 0.989 0.909
0.811 0.816 0.910
0.974 0.167 0.587
0.203 0.028 0.586
0.836 0.802 0.586
0.965 0.803 0.085
0.827 0.032 0.084
0.198 0.176 0.085
0.671 0.145 0.747
0.484 0.329 0.748
0.857 0.526 0.749
0.688 0.528 0.245
0.845 0.318 0.247
0.474 0.159 0.245
0.636 0.488 0.922
0.854 0.366 0.923
0.511 0.152 0.923
0.643 0.158 0.427
0.504 0.356 0.423
0.840 0.493 0.423
0.362 0.491 0.078
0.136 0.637 0.076
0.512 0.866 0.076
0.357 0.868 0.576
0.505 0.646 0.575
0.140 0.497 0.577
0.311 0.840 0.254
0.522 0.681 0.255
0.159 0.474 0.252
0.313 0.494 0.760
0.176 0.693 0.758
0.514 0.826 0.758
```

=====

VASP calculation (PBE) on a relaxed Sb crystal.

Output
* electronic total energy: -8.14 eV per cell

Structure (POSCAR):
```
Sb
1.0
-0.068 -1.079 -4.207
0.992 -2.915 0.731
-4.143 -1.439 0.436
Sb
2
direct
0.750 0.043 0.764
0.250 0.957 0.236
```

=====

VASP calculation (PBE) on a relaxed CaMnSb2 crystal.

Output
* electronic total energy: -84.24 eV per cell

Structure (POSCAR):
```
CaMnSb2
1.0
-3.706 2.095 -1.017
-2.318 -3.531 1.172
-1.246 7.360 19.710
Ca Mn Sb
4 4 8
direct
0.250 0.736 0.120
0.750 0.264 0.880
0.750 0.236 0.380
0.250 0.764 0.620
0.250 0.235 0.250
0.750 0.765 0.750
0.750 0.735 0.250
0.250 0.265 0.750
0.250 0.234 0.001
0.750 0.766 0.999
0.750 0.734 0.499
0.250 0.266 0.501
0.250 0.735 0.325
0.750 0.265 0.675
0.750 0.235 0.175
0.250 0.765 0.825
```

=====

VASP calculation (PBE) on a relaxed PtS2 crystal.

Output
* electronic total energy: -15.39 eV per cell

Structure (POSCAR):
```
PtS2
1.0
-1.790 -3.100 0.000
-1.790 3.100 0.000
0.000 0.000 -6.251
Pt S
1 2
direct
0.000 0.000 0.000
0.667 0.333 0.197
0.333 0.667 0.803
```